#A
First-principles (PBE+U) data for an optimized crystal structure of BaMg6CoO8, as listed in Materials Project.

```
BaMg6CoO8
1.0
4.684 0.000 0.000
0.000 4.684 0.000
0.000 0.000 8.752
Ba Mg Co O
1 6 1 8
Cartesian
0.000 0.000 0.000
0.000 2.342 2.337
0.000 2.342 6.416
2.342 0.000 2.337
2.342 0.000 6.416
2.342 2.342 0.000
2.342 2.342 4.376
0.000 0.000 4.376
0.000 0.000 2.475
0.000 0.000 6.278
0.000 2.342 0.000
0.000 2.342 4.376
2.342 0.000 0.000
2.342 0.000 4.376
2.342 2.342 2.206
2.342 2.342 6.547
```

#B
First-principles (PBE+U) data for an optimized crystal structure of BaMg6CoO8, as listed in Materials Project.

```
BaMg6CoO8
1.0
4.588 0.000 0.000
0.000 4.588 0.000
0.000 0.000 8.984
Ba Mg Co O
1 6 1 8
Cartesian
0.000 0.000 0.000
0.000 0.000 4.492
0.000 2.294 2.424
0.000 2.294 6.560
2.294 0.000 2.424
2.294 0.000 6.560
2.294 2.294 4.492
2.294 2.294 0.000
0.000 0.000 2.539
0.000 0.000 6.445
0.000 2.294 0.000
0.000 2.294 4.492
2.294 0.000 0.000
2.294 0.000 4.492
2.294 2.294 2.348
2.294 2.294 6.636
```

Taking the most stable structure as the zero point, the relative energies in kJ/mol of atoms are #A 3.3; #B 0.0.

#A
First-principles (PBE+U) data for an optimized crystal structure of Ba2Tb2MgCo4O11, as listed in Materials Project.

```
Ba2Tb2MgCo4O11
1.0
3.832 0.000 0.000
0.000 8.158 0.000
0.000 0.000 8.201
Ba Tb Mg Co O
2 2 1 4 11
Cartesian
0.000 0.000 1.882
0.000 0.000 6.319
0.000 4.079 1.712
0.000 4.079 6.489
1.916 4.079 4.100
1.916 1.792 4.100
1.916 2.108 0.000
1.916 6.049 0.000
1.916 6.365 4.100
0.000 2.235 0.000
0.000 2.776 4.100
0.000 5.382 4.100
0.000 5.922 0.000
1.916 0.000 0.000
1.916 0.000 4.100
1.916 2.620 2.311
1.916 2.620 5.890
1.916 4.079 0.000
1.916 5.538 2.311
1.916 5.538 5.890
```

#B
First-principles (PBE+U) data for an optimized crystal structure of Ba2Tb2MgCo4O11, as listed in Materials Project.

```
Ba2Tb2MgCo4O11
1.0
3.817 0.000 0.000
0.000 7.736 0.000
0.000 0.000 8.819
Ba Tb Mg Co O
2 2 1 4 11
Cartesian
0.000 0.000 1.676
0.000 0.000 7.143
0.000 3.868 2.259
0.000 3.868 6.560
0.000 0.000 4.409
1.909 2.038 4.409
1.909 2.220 0.000
1.909 5.516 0.000
1.909 5.698 4.409
0.000 1.940 4.409
0.000 2.479 0.000
0.000 5.256 0.000
0.000 5.795 4.409
1.909 0.000 0.000
1.909 0.000 4.409
1.909 2.377 1.972
1.909 2.377 6.846
1.909 3.868 4.409
1.909 5.359 1.972
1.909 5.359 6.846
```

Taking the most stable structure as the zero point, the relative energies in kJ/mol of atoms are #A 3.9; #B 0.0.

#A
First-principles (PBE+U) data for an optimized crystal structure of Ba2Nd2Co4O11, as listed in Materials Project.

```
Ba2Nd2Co4O11
1.0
3.952 0.000 0.000
0.000 8.006 0.000
0.000 0.000 7.658
Ba Nd Co O
2 2 4 11
Cartesian
0.000 1.960 0.000
0.000 6.046 0.000
0.000 2.138 3.798
0.000 5.868 3.798
1.976 0.000 2.003
1.976 0.000 5.639
1.976 4.003 1.915
1.976 4.003 5.735
0.000 0.000 2.378
0.000 0.000 5.276
0.000 4.003 2.073
0.000 4.003 5.608
1.976 0.000 7.626
1.976 1.812 5.419
1.976 1.890 2.237
1.976 4.003 0.078
1.976 4.003 3.812
1.976 6.115 2.237
1.976 6.194 5.419
```

#B
First-principles (PBE+U) data for an optimized crystal structure of Ba2Nd2Co4O11, as listed in Materials Project.

```
Ba2Nd2Co4O11
1.0
3.842 0.000 0.000
0.000 7.919 0.000
0.000 0.000 7.960
Ba Nd Co O
2 2 4 11
Cartesian
0.000 0.000 1.932
0.000 0.000 6.027
0.000 3.959 2.127
0.000 3.959 5.833
1.921 1.975 3.980
1.921 2.053 0.000
1.921 5.866 0.000
1.921 5.944 3.980
0.000 2.120 3.980
0.000 2.507 0.000
0.000 5.412 0.000
0.000 5.799 3.980
1.921 0.000 0.000
1.921 0.000 3.980
1.921 2.305 1.887
1.921 2.305 6.072
1.921 3.959 3.980
1.921 5.614 1.887
1.921 5.614 6.072
```

Taking the most stable structure as the zero point, the relative energies in kJ/mol of atoms are #A 0.0; #B 5.3.

#A
First-principles (PBE+U) data for an optimized crystal structure of BaNdCo2O6, as listed in Materials Project.

```
BaNdCo2O6
1.0
3.808 0.000 0.000
0.000 3.964 0.000
0.000 0.000 7.928
Ba Nd Co O
1 1 2 6
Cartesian
0.000 0.000 0.000
0.000 0.000 3.964
1.904 1.982 2.002
1.904 1.982 5.926
0.000 1.982 2.141
0.000 1.982 5.787
1.904 0.000 2.210
1.904 0.000 5.719
1.904 1.982 0.000
1.904 1.982 3.964
```

#B
First-principles (PBE+U) data for an optimized crystal structure of BaNdCo2O6, as listed in Materials Project.

```
BaNdCo2O6
1.0
3.856 0.000 0.000
0.000 3.856 0.000
0.000 0.000 7.930
Ba Nd Co O
1 1 2 6
Cartesian
0.000 0.000 0.000
0.000 0.000 3.965
1.928 1.928 2.004
1.928 1.928 5.926
0.000 1.928 2.206
0.000 1.928 5.724
1.928 0.000 2.206
1.928 0.000 5.724
1.928 1.928 0.000
1.928 1.928 3.965
```

Taking the most stable structure as the zero point, the relative energies in kJ/mol of atoms are #A 2.1; #B 0.0.

#A
First-principles (PBE+U) data for an optimized crystal structure of Ba3Nd3Co6O17, as listed in Materials Project.

```
Ba3Nd3Co6O17
1.0
8.128 -2.817 0.000
8.128 2.817 0.000
-5.230 0.000 7.926
Ba Nd Co O
3 3 6 17
Cartesian
0.000 0.000 0.000
1.914 0.000 5.295
9.112 0.000 2.631
-1.607 0.000 6.733
5.513 0.000 3.963
12.633 0.000 1.193
-0.874 0.000 3.317
2.800 0.000 2.002
6.326 0.000 0.706
4.700 0.000 7.220
8.226 0.000 5.925
11.900 0.000 4.610
0.439 1.393 7.345
3.598 1.493 3.259
1.121 0.000 2.646
6.577 1.462 2.136
4.449 1.462 5.790
4.530 0.000 1.308
7.428 1.493 4.667
10.587 1.393 0.581
8.128 0.000 0.000
0.439 -1.393 7.345
3.598 -1.493 3.259
6.496 0.000 6.618
6.577 -1.462 2.136
4.449 -1.462 5.790
9.905 0.000 5.281
7.428 -1.493 4.667
10.587 -1.393 0.581
```

#B
First-principles (PBE+U) data for an optimized crystal structure of Ba3Nd3Co6O17, as listed in Materials Project.

```
Ba3Nd3Co6O17
1.0
8.650 0.000 0.000
-1.783 8.693 0.000
-3.256 -4.276 9.647
Ba Nd Co O
6 6 12 34
Cartesian
-0.015 1.828 0.798
-0.001 5.466 2.383
1.797 0.380 3.993
1.814 4.037 5.653
3.613 -1.049 7.264
3.626 2.589 8.849
-1.624 -0.153 5.686
-1.592 3.232 7.277
0.192 -1.720 8.951
3.419 6.138 0.696
5.204 1.185 2.370
5.235 4.570 3.961
-2.393 -3.177 7.191
-0.824 2.558 4.021
-2.407 0.412 8.826
0.942 -2.486 5.622
0.870 8.332 0.781
2.609 3.268 2.402
1.003 1.149 7.245
2.742 -3.915 8.866
2.670 6.903 4.025
6.019 4.005 0.821
4.436 1.860 5.625
6.004 7.594 2.455
-0.891 4.346 0.000
-2.519 2.209 4.823
-3.193 1.142 7.161
-1.094 0.579 3.297
-2.145 -1.404 7.869
-2.109 6.841 4.163
-0.731 8.002 1.545
-1.270 -3.808 8.598
-1.120 4.498 5.035
-2.236 2.286 9.547
-0.037 1.833 5.670
-0.692 0.812 8.013
0.954 2.982 3.209
1.862 4.035 0.722
0.682 -0.883 6.485
2.799 1.495 1.504
1.502 -3.249 7.344
4.325 0.000 0.000
2.697 -2.138 4.823
2.110 7.666 2.302
0.812 2.922 8.143
2.930 5.300 3.162
1.750 0.382 8.925
2.658 1.435 6.438
4.304 3.605 1.634
3.649 2.584 3.976
5.847 2.131 0.100
4.731 -0.081 4.612
4.882 8.225 1.048
4.342 -3.585 8.102
5.721 -2.424 5.484
5.757 5.821 1.778
4.706 3.838 6.350
6.804 3.275 2.486
```

Taking the most stable structure as the zero point, the relative energies in kJ/mol of atoms are #A 0.0; #B 0.6.

#A
First-principles (PBE+U) data for an optimized crystal structure of Ba8Co7O19, as listed in Materials Project.

```
Ba8Co7O19
1.0
10.792 0.000 0.000
-4.669 9.754 0.000
-3.179 -4.782 10.219
Ba Co O
16 14 38
Cartesian
0.000 0.000 0.000
-1.717 -2.619 5.608
-5.463 3.667 7.139
-1.958 1.097 6.973
-0.210 3.237 2.072
-1.008 7.141 0.450
-2.366 4.852 5.102
1.781 -1.134 6.987
3.574 1.241 1.838
3.026 4.842 0.244
1.589 2.599 5.538
0.602 6.271 7.190
2.467 8.591 1.970
5.321 0.077 5.389
7.037 2.614 0.533
6.189 6.416 2.032
-2.569 1.371 3.769
-2.450 -2.011 8.758
-0.219 -0.003 3.511
-0.161 -3.127 8.832
2.421 -1.243 3.707
-2.565 5.242 8.662
-0.237 6.836 3.632
-0.355 3.398 8.944
1.939 5.372 3.576
1.975 2.230 8.661
4.095 4.328 3.678
4.210 0.855 8.754
6.239 3.012 3.637
6.126 -0.627 8.701
-4.110 -2.149 9.708
-3.800 2.345 5.242
-4.463 1.099 8.120
-2.624 3.176 2.959
-6.417 5.889 8.077
0.343 -1.448 4.525
1.322 -0.419 2.290
-2.303 6.847 2.976
-0.567 1.656 4.454
-0.867 -1.295 8.031
1.678 2.398 0.121
-3.518 5.936 7.200
-4.172 4.691 9.553
-1.426 3.924 7.481
0.614 5.977 2.198
-1.547 2.281 9.584
2.684 0.296 4.499
3.587 -2.219 5.138
4.434 -1.214 2.848
1.431 -2.474 9.584
0.370 5.345 4.655
0.748 1.128 7.974
2.439 3.600 2.936
-0.915 5.232 9.618
1.266 3.932 8.039
4.128 7.599 0.080
3.457 6.242 2.945
3.461 1.601 7.234
5.131 3.762 2.223
4.336 -0.959 8.012
3.175 4.708 5.214
6.202 1.295 2.930
3.641 2.387 9.650
8.099 -0.298 4.516
5.750 4.638 4.488
7.253 -1.538 7.280
8.127 4.987 0.096
9.373 0.524 2.145
```

#B
First-principles (PBE+U) data for an optimized crystal structure of Ba8Co7O19, as listed in Materials Project.

```
Ba8Co7O19
1.0
0.000 9.166 10.368
5.784 0.000 10.368
5.784 9.166 0.000
Ba Co O
16 14 38
Cartesian
0.000 0.000 0.000
5.565 6.473 3.127
8.644 6.804 8.385
8.895 11.056 8.311
5.621 4.651 9.866
2.892 4.583 5.184
0.219 2.692 3.127
8.839 9.234 15.050
5.784 9.166 10.091
5.752 6.944 13.569
2.673 7.275 8.311
5.947 13.680 9.866
8.676 13.748 15.275
5.817 11.387 13.569
2.925 11.527 8.385
2.729 9.097 15.050
2.892 4.583 1.688
5.687 5.276 6.690
8.484 7.278 11.618
5.527 8.024 6.708
8.773 9.859 11.874
6.041 10.307 6.708
8.933 12.607 11.892
5.881 13.055 6.690
8.419 14.890 11.892
5.592 6.470 16.802
2.795 8.472 11.874
5.784 9.166 17.240
3.084 11.053 11.618
5.976 11.861 16.802
1.670 0.762 2.163
3.909 5.782 0.586
3.183 3.182 2.932
1.875 3.384 0.586
4.562 3.821 7.347
4.114 8.403 2.163
7.182 8.914 7.342
8.696 8.866 10.160
4.686 6.719 5.718
2.601 5.984 2.932
5.784 9.166 5.192
5.483 6.836 8.117
9.774 11.302 10.902
6.853 6.789 10.996
6.882 11.612 5.718
7.255 9.270 12.642
8.978 11.419 13.301
4.386 9.417 7.342
6.085 11.495 8.117
4.290 4.834 12.526
8.676 13.748 10.376
5.804 4.882 15.344
1.222 5.345 7.347
6.801 7.967 16.138
7.278 13.497 12.526
10.147 13.644 17.826
4.314 9.061 12.642
7.607 11.372 16.180
4.715 11.542 10.996
1.794 7.029 10.902
2.872 9.465 10.160
8.375 16.078 13.301
9.745 16.125 16.180
5.493 7.764 18.484
4.767 10.364 16.138
6.076 10.567 18.484
5.764 13.449 15.344
7.206 13.852 17.826
```

Taking the most stable structure as the zero point, the relative energies in kJ/mol of atoms are #A 0.0; #B 1.3.